# Te2MoW3Se4S2 | the Materials Project database | PBE-GGA | relaxed
# - crystal system = trigonal
# - energy relative to the elements (eV per atom) = -0.5940
# - total magnetization (μB per atom) = 0.00
data_Te2MoW3Se4S2
_cell_length_a 3.3405
_cell_length_b 3.3405
_cell_length_c 38.0766
_cell_angle_alpha 90.00
_cell_angle_beta 90.00
_cell_angle_gamma 120.00
_symmetry_space_group_name_H-M 'P 3 m 1'
_symmetry_Int_Tables_number 156
_symmetry_space_group_name_Hall 'P 3 -2"'
loop_
_atom_site_label
_atom_site_type_symbol
_atom_site_fract_x
_atom_site_fract_y
_atom_site_fract_z
Te1 Te 0.0000 0.0000 0.0000
Te2 Te 0.0000 0.0000 0.0996
Mo1 Mo 0.6667 0.3333 0.0498
W1 W 0.0000 0.0000 0.2377
W2 W 0.0000 0.0000 0.6134
W3 W 0.6667 0.3333 0.4256
Se1 Se 0.6667 0.3333 0.1938
Se2 Se 0.6667 0.3333 0.2817
Se3 Se 0.6667 0.3333 0.5695
Se4 Se 0.6667 0.3333 0.6574
S1 S 0.0000 0.0000 0.3856
S2 S 0.0000 0.0000 0.4656


# Te2Mo3WSe2S4 | the Materials Project database | PBE-GGA | relaxed
# - crystal system = trigonal
# - energy relative to the elements (eV per atom) = -0.7358
# - total magnetization (μB per atom) = 0.00
data_Te2Mo3WSe2S4
_cell_length_a 3.3090
_cell_length_b 3.3090
_cell_length_c 38.5351
_cell_angle_alpha 90.00
_cell_angle_beta 90.00
_cell_angle_gamma 120.00
_symmetry_space_group_name_H-M 'P 3 m 1'
_symmetry_Int_Tables_number 156
_symmetry_space_group_name_Hall 'P 3 -2"'
loop_
_atom_site_label
_atom_site_type_symbol
_atom_site_fract_x
_atom_site_fract_y
_atom_site_fract_z
Te1 Te 0.0000 0.0000 0.0000
Te2 Te 0.0000 0.0000 0.0998
Mo1 Mo 0.0000 0.0000 0.2376
Mo2 Mo 0.0000 0.0000 0.8606
Mo3 Mo 0.6667 0.3333 0.6735
W1 W 0.6667 0.3333 0.0499
Se1 Se 0.6667 0.3333 0.8171
Se2 Se 0.6667 0.3333 0.9042
S1 S 0.0000 0.0000 0.6339
S2 S 0.0000 0.0000 0.7130
S3 S 0.6667 0.3333 0.1979
S4 S 0.6667 0.3333 0.2772


# Te2MoWSeS | the Materials Project database | PBE-GGA | relaxed
# - crystal system = trigonal
# - energy relative to the elements (eV per atom) = -0.5067
# - total magnetization (μB per atom) = 0.00
data_Te2MoWSeS
_cell_length_a 3.3945
_cell_length_b 3.3945
_cell_length_c 40.2255
_cell_angle_alpha 90.00
_cell_angle_beta 90.00
_cell_angle_gamma 120.00
_symmetry_space_group_name_H-M 'P 3 m 1'
_symmetry_Int_Tables_number 156
_symmetry_space_group_name_Hall 'P 3 -2"'
loop_
_atom_site_label
_atom_site_type_symbol
_atom_site_fract_x
_atom_site_fract_y
_atom_site_fract_z
Te1 Te 0.0000 0.0000 0.0000
Te2 Te 0.0000 0.0000 0.0932
Te3 Te 0.3333 0.6667 0.8092
Te4 Te 0.3333 0.6667 0.9025
Mo1 Mo 0.0000 0.0000 0.8558
Mo2 Mo 0.3333 0.6667 0.0466
W1 W 0.0000 0.0000 0.2337
W2 W 0.3333 0.6667 0.4211
Se1 Se 0.3333 0.6667 0.1925
Se2 Se 0.3333 0.6667 0.2749
S1 S 0.0000 0.0000 0.3835
S2 S 0.0000 0.0000 0.4586


| no. | energy (eV/cell) |
| --- | --- |
| 1 | -84.38 |
| 2 | -82.14 |
| 3 | -80.52 |